Entry 1:
The following is a GGA-PBE calculation of a relaxed structure of Zn3Se, from the Materials Project.

Structure (CIF):
```
data_Zn3Se
_chemical_formula_sum 'Zn3 Se1'
_cell_length_a 4.1468
_cell_length_b 4.1468
_cell_length_c 4.1468
_cell_angle_alpha 90.00
_cell_angle_beta 90.00
_cell_angle_gamma 90.00
_space_group_name_H-M_alt 'P m -3 m'
_space_group_IT_number 221
_space_group_name_Hall '-P 4 2 3'
loop_
_atom_site_label
_atom_site_type_symbol
_atom_site_fract_x
_atom_site_fract_y
_atom_site_fract_z
Zn1 Zn 0.0000 0.0000 0.5000
Se1 Se 0.5000 0.5000 0.5000
```

Computed properties:
E_form	0.05	eV/f.u.
ρ	6.408	g/cm³
E above lowest polymorph	0	meV/atom
uncorrected energy	-6.75	eV/cell

---

Entry 2:
The following is a GGA-PBE calculation of a relaxed structure of Ba39Li80N9, from the Materials Project.

Structure (CIF):
```
data_Ba39Li80N9
_chemical_formula_sum 'Ba78 Li160 N18'
_cell_length_a 15.7879
_cell_length_b 15.7879
_cell_length_c 31.7212
_cell_angle_alpha 90.00
_cell_angle_beta 90.00
_cell_angle_gamma 90.00
_space_group_name_H-M_alt 'I -4 2 m'
_space_group_IT_number 121
_space_group_name_Hall 'I -4 2'
loop_
_atom_site_label
_atom_site_type_symbol
_atom_site_fract_x
_atom_site_fract_y
_atom_site_fract_z
Ba1 Ba 0.0000 0.0000 0.0000
Ba2 Ba 0.0000 0.0000 0.4133
Ba3 Ba 0.0000 0.1789 0.5000
Ba4 Ba 0.0000 0.5000 0.1603
Ba5 Ba 0.0030 0.3242 0.7504
Ba6 Ba 0.0905 0.0905 0.1857
Ba7 Ba 0.0898 0.3692 0.0449
Ba8 Ba 0.1049 0.1049 0.6985
Ba9 Ba 0.1180 0.1180 0.0594
Li1 Li 0.0019 0.2512 0.6247
Li2 Li 0.0337 0.2679 0.8658
Li3 Li 0.0799 0.0799 0.8918
Li4 Li 0.0808 0.2139 0.9593
Li5 Li 0.1195 0.3506 0.4257
Li6 Li 0.1300 0.1300 0.3142
Li7 Li 0.1525 0.1525 0.8115
Li8 Li 0.1617 0.3072 0.3323
Li9 Li 0.1632 0.1632 0.4039
Li10 Li 0.1737 0.3163 0.1584
Li11 Li 0.1836 0.1836 0.5872
Li12 Li 0.2088 0.2088 0.8956
Li13 Li 0.2313 0.2313 0.4831
Li14 Li 0.2413 0.2413 0.2500
N1 N 0.0000 0.0000 0.0915
N2 N 0.0000 0.0000 0.5000
N3 N 0.0000 0.1871 0.0000
N4 N 0.0000 0.5000 0.2500
```

Computed properties:
E_form	-8.70	eV/f.u.
ρ	2.536	g/cm³
uncorrected energy	-616.06	eV/cell

---

Entry 3:
The following is a GGA-PBE calculation of a relaxed structure of TaPO5, from the Materials Project.

Structure (CIF):
```
data_TaPO5
_chemical_formula_sum 'Ta2 P2 O10'
_cell_length_a 6.4926
_cell_length_b 6.4926
_cell_length_c 4.0881
_cell_angle_alpha 90.00
_cell_angle_beta 90.00
_cell_angle_gamma 90.00
_space_group_name_H-M_alt 'P 4/n'
_space_group_IT_number 85
loop_
_space_group_symop_operation_xyz
'x,y,z'
'-x,-y,-z'
'-y+1/2,x,z'
'y+1/2,-x,-z'
'-x+1/2,-y+1/2,z'
'x+1/2,y+1/2,-z'
'y,-x+1/2,z'
'-y,x+1/2,-z'
loop_
_atom_site_label
_atom_site_type_symbol
_atom_site_fract_x
_atom_site_fract_y
_atom_site_fract_z
Ta1 Ta 0.2500 0.2500 0.2354
P1 P 0.2500 0.7500 0.5000
O1 O 0.0554 0.7690 0.7123
O2 O 0.2500 0.2500 0.7922
```

Computed properties:
E_form	-21.41	eV/f.u.
ρ	5.626	g/cm³
E above lowest polymorph	50	meV/atom
uncorrected energy	-119.98	eV/cell

---

Entry 4:
The following is a GGA-PBE calculation of a relaxed structure of TbB2C, from the Materials Project.

Structure (CIF):
```
data_TbB2C
_chemical_formula_sum 'Tb8 B16 C8'
_cell_length_a 6.8070
_cell_length_b 6.8070
_cell_length_c 7.5467
_cell_angle_alpha 90.00
_cell_angle_beta 90.00
_cell_angle_gamma 90.00
_space_group_name_H-M_alt 'P 42/m b c'
_space_group_IT_number 135
_space_group_name_Hall '-P 4c 2ab'
loop_
_atom_site_label
_atom_site_type_symbol
_atom_site_fract_x
_atom_site_fract_y
_atom_site_fract_z
Tb1 Tb 0.1901 0.3099 0.2500
B1 B 0.0348 0.8486 0.0000
B2 B 0.0953 0.5971 0.0000
C1 C 0.0406 0.8227 0.5000
```

Computed properties:
E_form	-2.08	eV/f.u.
ρ	7.315	g/cm³
uncorrected energy	-234.42	eV/cell

---

Entry 5:
The following is a GGA-PBE calculation of a relaxed structure of Sr7Bi23O40, from the Materials Project.

Structure (CIF):
```
data_Sr7Bi23O40
_chemical_formula_sum 'Sr14 Bi46 O80'
_cell_length_a 19.7775
_cell_length_b 20.0859
_cell_length_c 6.9255
_cell_angle_alpha 90.00
_cell_angle_beta 96.77
_cell_angle_gamma 90.00
_space_group_name_H-M_alt 'C 1 2/m 1'
_space_group_IT_number 12
_space_group_name_Hall '-C 2y'
loop_
_atom_site_label
_atom_site_type_symbol
_atom_site_fract_x
_atom_site_fract_y
_atom_site_fract_z
Sr1 Sr 0.0000 0.0000 0.0000
Sr2 Sr 0.0000 0.0989 0.5000
Sr3 Sr 0.0000 0.2983 0.5000
Sr4 Sr 0.0000 0.4005 0.0000
Bi1 Bi 0.0000 0.1999 0.0000
Bi2 Bi 0.0000 0.5000 0.5000
Bi3 Bi 0.1590 0.0000 0.3734
Bi4 Bi 0.1603 0.3052 0.8803
Bi5 Bi 0.1603 0.3987 0.3938
Bi6 Bi 0.1613 0.1956 0.3813
Bi7 Bi 0.1621 0.1022 0.8987
Bi8 Bi 0.1627 0.5000 0.8793
O1 O 0.0536 0.0000 0.3460
O2 O 0.0545 0.2992 0.8563
O3 O 0.0543 0.4044 0.3664
O4 O 0.0554 0.1950 0.3287
O5 O 0.0558 0.1115 0.8709
O6 O 0.0565 0.5000 0.8285
O7 O 0.1457 0.0000 0.0105
O8 O 0.1510 0.2914 0.5407
O9 O 0.1544 0.4059 0.0675
O10 O 0.1566 0.0939 0.5741
O11 O 0.1630 0.5000 0.5349
O12 O 0.1689 0.2128 0.0551
```

Computed properties:
E_form	-132.67	eV/f.u.
ρ	7.367	g/cm³
uncorrected energy	-808.82	eV/cell

---

Entry 6:
The following is a GGA-PBE calculation of a relaxed structure of SiO2, from the Materials Project.

Structure (CIF):
```
data_SiO2
_chemical_formula_sum 'Si24 O48'
_cell_length_a 8.9990
_cell_length_b 9.2705
_cell_length_c 16.2288
_cell_angle_alpha 90.00
_cell_angle_beta 90.00
_cell_angle_gamma 90.00
_space_group_name_H-M_alt 'P c a 21'
_space_group_IT_number 29
_space_group_name_Hall 'P 2c -2ac'
loop_
_atom_site_label
_atom_site_type_symbol
_atom_site_fract_x
_atom_site_fract_y
_atom_site_fract_z
Si1 Si 0.0070 0.1693 0.0250
Si2 Si 0.0142 0.6676 0.8718
Si3 Si 0.0441 0.6453 0.6825
Si4 Si 0.1514 0.5974 0.1113
Si5 Si 0.1547 0.8596 0.0000
Si6 Si 0.1977 0.4174 0.9508
O1 O 0.0122 0.3099 0.2738
O2 O 0.0154 0.2332 0.1183
O3 O 0.0165 0.5142 0.1568
O4 O 0.0835 0.2826 0.9612
O5 O 0.0894 0.8134 0.9098
O6 O 0.0914 0.7460 0.0690
O7 O 0.0985 0.0195 0.0236
O8 O 0.1257 0.5311 0.8857
O9 O 0.1444 0.3609 0.4165
O10 O 0.1646 0.8566 0.4975
O11 O 0.2247 0.6377 0.6807
O12 O 0.2257 0.4954 0.0399
```

Computed properties:
E_form	-9.75	eV/f.u.
ρ	1.769	g/cm³
uncorrected energy	-568.71	eV/cell

---

Entry 7:
The following is a GGA-PBE calculation of a relaxed structure of Hf3Ti2Ga3, from the Materials Project.

Structure (CIF):
```
data_Hf3Ti2Ga3
_chemical_formula_sum 'Hf6 Ti4 Ga6'
_cell_length_a 7.8891
_cell_length_b 7.8891
_cell_length_c 5.4614
_cell_angle_alpha 90.00
_cell_angle_beta 90.00
_cell_angle_gamma 120.00
_space_group_name_H-M_alt 'P 63/m c m'
_space_group_IT_number 193
_space_group_name_Hall '-P 6c 2'
loop_
_atom_site_label
_atom_site_type_symbol
_atom_site_fract_x
_atom_site_fract_y
_atom_site_fract_z
Hf1 Hf 0.0000 0.2423 0.2500
Ti1 Ti 0.3333 0.6667 0.0000
Ga1 Ga 0.0000 0.3993 0.7500
```

Computed properties:
E_form	-3.84	eV/f.u.
ρ	9.481	g/cm³
uncorrected energy	-117.17	eV/cell